VASP calculation (PBE with a Hubbard U) on a relaxed Li6MnV3P6O24 crystal.

Cell: 9.8461 9.8553 9.8755 Å, 86.99 87.09 87.20°
Positions (direct):
Li 0.0000 0.0000 0.0000
Li 0.0204 0.1292 0.7480
Li 0.1150 0.2798 0.4654
Li 0.2190 0.8586 0.7796
Li 0.2956 0.7658 0.2975
Li 0.3315 0.0814 0.5882
Li 0.5152 0.9068 0.0802
Li 0.5493 0.6387 0.2782
Li 0.5987 0.3654 0.3804
Li 0.7073 0.6876 0.9675
Li 0.8334 0.4889 0.1880
Li 0.9191 0.4008 0.6944
Mn 0.3109 0.1620 0.2002
Mn 0.8222 0.8830 0.4737
V 0.0443 0.6638 0.4902
V 0.1018 0.6013 0.9823
V 0.3206 0.3814 0.9803
V 0.5388 0.3824 0.7584
V 0.6024 0.8831 0.6935
V 0.8072 0.1029 0.2532
P 0.0206 0.2805 0.0567
P 0.1135 0.9874 0.3999
P 0.2177 0.4591 0.6842
P 0.2450 0.4872 0.2806
P 0.3981 0.0809 0.8735
P 0.4220 0.6835 0.9000
P 0.5126 0.9611 0.3746
P 0.6147 0.3062 0.0798
P 0.7235 0.5856 0.5515
P 0.7452 0.1806 0.5728
P 0.8984 0.7796 0.1836
P 0.9211 0.8052 0.7824
O 0.0053 0.9212 0.8276
O 0.0391 0.7387 0.1199
O 0.1071 0.5401 0.3460
O 0.1216 0.3537 0.6392
O 0.1501 0.8336 0.4274
O 0.1574 0.0786 0.5087
O 0.1767 0.0257 0.2572
O 0.1778 0.6032 0.6245
O 0.1827 0.2528 0.0682
O 0.1896 0.4619 0.8456
O 0.2352 0.5084 0.1192
O 0.2577 0.3336 0.3218
O 0.2664 0.7177 0.9251
O 0.2862 0.0387 0.7832
O 0.3625 0.5720 0.3159
O 0.3697 0.4249 0.6526
O 0.3747 0.0416 0.0261
O 0.4041 0.2415 0.8535
O 0.4412 0.1006 0.3304
O 0.4453 0.5243 0.8935
O 0.4535 0.3014 0.1109
O 0.4619 0.7539 0.7610
O 0.4679 0.8463 0.2896
O 0.4784 0.9444 0.5301
O 0.5108 0.7283 0.0113
O 0.5381 0.0156 0.8275
O 0.6090 0.2460 0.6259
O 0.6449 0.3391 0.9276
O 0.6583 0.5405 0.4260
O 0.6611 0.4121 0.1740
O 0.6684 0.5208 0.6871
O 0.6695 0.9688 0.3445
O 0.6751 0.1621 0.1198
O 0.6947 0.7475 0.5559
O 0.7403 0.0184 0.6004
O 0.7490 0.2134 0.4163
O 0.7649 0.8207 0.8169
O 0.7865 0.6901 0.1410
O 0.8703 0.2250 0.6399
O 0.8724 0.9342 0.1480
O 0.8804 0.5535 0.5495
O 0.9032 0.7558 0.3452
O 0.9510 0.2319 0.1926
O 0.9521 0.0111 0.3939
O 0.9518 0.7996 0.6256
O 0.9677 0.6662 0.8509
O 0.9849 0.1988 0.9378
O 0.9869 0.4368 0.0435

Computed properties:
* distance to the lowest polymorph of the same formula: 44 meV/atom
* calculated formation energy: -2.642 eV per atom

***

VASP calculation (PBE with a Hubbard U) on a relaxed Li3MnVP3O12 crystal.

Cell: 8.6611 8.6901 12.6411 Å, 105.60 105.96 95.74°
Positions (direct):
Li 0.0000 0.0000 0.0000
Li 0.0012 0.9997 0.2486
Li 0.2842 0.7059 0.4983
Li 0.2870 0.7095 0.0001
Li 0.4959 0.4992 0.1265
Li 0.4966 0.4989 0.8765
Li 0.4983 0.4998 0.3747
Li 0.4977 0.5008 0.6245
Li 0.7080 0.2910 0.2514
Li 0.7087 0.2901 0.7508
Li 0.9919 0.9929 0.5007
Li 0.9935 0.0057 0.7494
Mn 0.0519 0.3733 0.1906
Mn 0.0536 0.3701 0.6895
Mn 0.3703 0.0531 0.9400
Mn 0.9374 0.6320 0.5600
V 0.3767 0.0546 0.4440
V 0.6182 0.9423 0.3055
V 0.6194 0.9416 0.8067
V 0.9379 0.6222 0.0561
P 0.1294 0.3375 0.9425
P 0.1387 0.3330 0.4428
P 0.2825 0.7084 0.2499
P 0.2820 0.7088 0.7497
P 0.3331 0.1313 0.6939
P 0.3342 0.1318 0.1906
P 0.6597 0.8692 0.5586
P 0.6636 0.8599 0.0580
P 0.7072 0.2860 0.0005
P 0.7119 0.2907 0.4998
P 0.8560 0.6640 0.3090
P 0.8564 0.6659 0.8059
O 0.0081 0.3413 0.8260
O 0.0134 0.3358 0.3275
O 0.0406 0.4017 0.0370
O 0.0505 0.3836 0.5374
O 0.1383 0.1546 0.9283
O 0.1496 0.1401 0.6803
O 0.1502 0.1416 0.1752
O 0.1580 0.1503 0.4245
O 0.1704 0.7331 0.6376
O 0.1726 0.7353 0.1391
O 0.2539 0.5356 0.7620
O 0.2545 0.5326 0.2594
O 0.2577 0.8226 0.3596
O 0.2596 0.8249 0.8607
O 0.2928 0.4510 0.9785
O 0.2974 0.4539 0.4785
O 0.3364 0.0102 0.0743
O 0.3374 0.0100 0.5796
O 0.3975 0.0439 0.2850
O 0.3991 0.0442 0.7896
O 0.4468 0.2940 0.7289
O 0.4488 0.2941 0.2263
O 0.4578 0.7327 0.7410
O 0.4602 0.7322 0.2441
O 0.5321 0.2548 0.0107
O 0.5353 0.2641 0.5078
O 0.5428 0.7017 0.0239
O 0.5469 0.7062 0.5248
O 0.5956 0.9541 0.4629
O 0.6123 0.9454 0.9629
O 0.6561 0.9922 0.6728
O 0.6607 0.9856 0.1715
O 0.6971 0.5437 0.2735
O 0.6973 0.5459 0.7714
O 0.7277 0.4620 0.9923
O 0.7364 0.1756 0.8920
O 0.7374 0.1748 0.3915
O 0.7375 0.4650 0.4891
O 0.8225 0.2661 0.1139
O 0.8227 0.2677 0.6132
O 0.8372 0.8471 0.3289
O 0.8384 0.8488 0.8243
O 0.8441 0.8603 0.5742
O 0.8475 0.8408 0.0773
O 0.9429 0.6145 0.7105
O 0.9438 0.6143 0.2151
O 0.9814 0.6612 0.4247
O 0.9820 0.6613 0.9195

Computed properties:
* distance to the lowest polymorph of the same formula: 40 meV/atom
* calculated formation energy: -2.615 eV per atom

***

VASP calculation (PBE with a Hubbard U) on a relaxed Li3MnVP3O12 crystal.

Cell: 9.0385 9.0385 9.0385 Å, 56.41 56.41 56.41°
Positions (direct):
Li 0.1653 0.4159 0.7714
Li 0.2286 0.8347 0.5841
Li 0.4159 0.7714 0.1653
Li 0.5841 0.2286 0.8347
Li 0.7714 0.1653 0.4159
Li 0.8347 0.5841 0.2286
Mn 0.1502 0.1502 0.1502
Mn 0.8498 0.8498 0.8498
V 0.3510 0.3510 0.3510
V 0.6490 0.6490 0.6490
P 0.0433 0.7417 0.4634
P 0.2583 0.5366 0.9567
P 0.4634 0.0433 0.7417
P 0.5366 0.9567 0.2583
P 0.7417 0.4634 0.0433
P 0.9567 0.2583 0.5366
O 0.0002 0.0471 0.6602
O 0.9998 0.9529 0.3398
O 0.0471 0.6602 0.0002
O 0.0561 0.6987 0.6492
O 0.1119 0.3215 0.4877
O 0.2417 0.6166 0.3588
O 0.3013 0.3508 0.9439
O 0.3215 0.4877 0.1119
O 0.3398 0.9998 0.9529
O 0.3508 0.9439 0.3013
O 0.3588 0.2417 0.6166
O 0.3834 0.6412 0.7583
O 0.4877 0.1119 0.3215
O 0.5123 0.8881 0.6785
O 0.6166 0.3588 0.2417
O 0.6412 0.7583 0.3834
O 0.6492 0.0561 0.6987
O 0.6602 0.0002 0.0471
O 0.6785 0.5123 0.8881
O 0.6987 0.6492 0.0561
O 0.7583 0.3834 0.6412
O 0.8881 0.6785 0.5123
O 0.9439 0.3013 0.3508
O 0.9529 0.3398 0.9998

Computed properties:
* distance to the lowest polymorph of the same formula: 0 meV/atom
* calculated formation energy: -2.655 eV per atom

***

VASP calculation (PBE with a Hubbard U) on a relaxed Li12MnV7P12O48 crystal.

Cell: 8.7347 8.7486 12.1679 Å, 89.83 89.15 89.66°
Positions (direct):
Li 0.0000 0.0000 0.0000
Li 0.0075 0.6164 0.9340
Li 0.1337 0.7024 0.5230
Li 0.2189 0.2005 0.3716
Li 0.3432 0.1165 0.9595
Li 0.3540 0.4994 0.8949
Li 0.5011 0.3365 0.5010
Li 0.5108 0.7213 0.4348
Li 0.6358 0.6364 0.0217
Li 0.7188 0.1372 0.8708
Li 0.8431 0.2213 0.4606
Li 0.8534 0.8380 0.3950
Mn 0.6798 0.4577 0.8058
V 0.1737 0.3809 0.5884
V 0.1738 0.4489 0.0875
V 0.1797 0.8808 0.3079
V 0.1802 0.9480 0.8072
V 0.6734 0.8884 0.5885
V 0.6741 0.9567 0.0872
V 0.6800 0.3888 0.3069
P 0.0302 0.3015 0.8462
P 0.0320 0.0235 0.5487
P 0.3210 0.5235 0.3461
P 0.3242 0.8014 0.0494
P 0.3897 0.6664 0.6894
P 0.4624 0.1674 0.7044
P 0.5295 0.0360 0.3455
P 0.5327 0.3145 0.0482
P 0.8225 0.8161 0.8476
P 0.8234 0.5356 0.5497
P 0.8911 0.6712 0.1906
P 0.9632 0.1667 0.2044
O 0.0012 0.8074 0.8453
O 0.0348 0.2844 0.1257
O 0.0704 0.1341 0.8794
O 0.0718 0.9015 0.4582
O 0.0727 0.3305 0.7254
O 0.0864 0.1846 0.5101
O 0.0962 0.0874 0.2660
O 0.0998 0.9697 0.6550
O 0.1212 0.4198 0.9159
O 0.2320 0.9198 0.9789
O 0.2537 0.4706 0.2394
O 0.2567 0.5882 0.6282
O 0.2659 0.6846 0.3840
O 0.2813 0.4014 0.4368
O 0.2822 0.8294 0.1701
O 0.2853 0.6335 0.0161
O 0.3192 0.7840 0.7683
O 0.3544 0.0975 0.7937
O 0.3542 0.3052 0.0494
O 0.3562 0.0141 0.3665
O 0.3768 0.2850 0.6317
O 0.4737 0.5500 0.7636
O 0.4962 0.7364 0.5998
O 0.4974 0.8227 0.0280
O 0.4996 0.5334 0.3449
O 0.5306 0.0502 0.6227
O 0.5680 0.2039 0.3789
O 0.5715 0.0074 0.2249
O 0.5723 0.4378 0.9577
O 0.5868 0.1532 0.0110
O 0.5951 0.2415 0.7652
O 0.5997 0.3668 0.1555
O 0.6219 0.9178 0.4162
O 0.7318 0.4181 0.4795
O 0.7542 0.8676 0.7398
O 0.7576 0.7510 0.1294
O 0.7707 0.6575 0.8890
O 0.7831 0.9404 0.9367
O 0.7847 0.7034 0.5150
O 0.7867 0.5105 0.6720
O 0.8194 0.5535 0.2696
O 0.8533 0.0331 0.5497
O 0.8562 0.3219 0.8678
O 0.8570 0.2375 0.2948
O 0.8787 0.0517 0.1318
O 0.9762 0.7858 0.2636
O 0.9973 0.5133 0.5281
O 0.9968 0.6005 0.1005

Computed properties:
* calculated formation energy: -2.705 eV per atom

***

VASP calculation (PBE with a Hubbard U) on a relaxed Li3MnVP3O12 crystal.

Cell: 8.7079 8.8066 12.2003 Å, 89.80 88.93 89.80°
Positions (direct):
Li 0.0000 0.0000 0.0000
Li 0.0021 0.3914 0.9390
Li 0.1346 0.3238 0.5189
Li 0.2144 0.8227 0.3749
Li 0.3441 0.8918 0.9555
Li 0.3469 0.5014 0.8951
Li 0.5034 0.6900 0.5004
Li 0.5049 0.3006 0.4380
Li 0.6337 0.3700 0.0206
Li 0.7123 0.8684 0.8746
Li 0.8393 0.7981 0.4575
Li 0.8454 0.1928 0.3958
Mn 0.1766 0.1386 0.3078
Mn 0.6702 0.0535 0.0870
Mn 0.6765 0.5532 0.8080
Mn 0.6778 0.6296 0.3032
V 0.1696 0.5642 0.0872
V 0.1708 0.6375 0.5861
V 0.1777 0.0648 0.8073
V 0.6699 0.1273 0.5884
P 0.0278 0.7081 0.8451
P 0.0311 0.9973 0.5468
P 0.3179 0.2070 0.0521
P 0.3220 0.4999 0.3467
P 0.3846 0.3487 0.6909
P 0.4623 0.8458 0.7027
P 0.5282 0.6927 0.0427
P 0.5301 0.9833 0.3425
P 0.8168 0.1925 0.8496
P 0.8176 0.4838 0.5552
P 0.8838 0.3473 0.1925
P 0.9603 0.8447 0.2037
O 0.0357 0.7354 0.1205
O 0.0706 0.6821 0.7246
O 0.0723 0.8734 0.8789
O 0.0781 0.1209 0.4579
O 0.0815 0.8358 0.5097
O 0.0857 0.9237 0.2689
O 0.0955 0.0455 0.6551
O 0.1158 0.5872 0.9149
O 0.2300 0.0872 0.9828
O 0.2551 0.5452 0.2380
O 0.2568 0.4311 0.6272
O 0.2735 0.3402 0.3879
O 0.2749 0.3722 0.0171
O 0.2760 0.6234 0.4341
O 0.2804 0.1843 0.1745
O 0.3074 0.2377 0.7728
O 0.3488 0.6971 0.0411
O 0.3544 0.0008 0.3636
O 0.3573 0.9237 0.7903
O 0.3731 0.7329 0.6311
O 0.4731 0.4610 0.7632
O 0.4881 0.2702 0.6033
O 0.4936 0.1888 0.0312
O 0.5025 0.4941 0.3486
O 0.5368 0.9573 0.6194
O 0.5667 0.0057 0.2201
O 0.5729 0.5682 0.9541
O 0.5743 0.8176 0.3773
O 0.5763 0.8530 0.0039
O 0.5909 0.7666 0.7657
O 0.5950 0.6427 0.1496
O 0.6178 0.1031 0.4120
O 0.7274 0.6058 0.4908
O 0.7508 0.1451 0.7414
O 0.7562 0.2682 0.1296
O 0.7681 0.3518 0.8898
O 0.7718 0.0677 0.9382
O 0.7745 0.3185 0.5192
O 0.7856 0.5002 0.6793
O 0.8135 0.4578 0.2783
O 0.8521 0.9933 0.5436
O 0.8528 0.6911 0.8660
O 0.8556 0.7657 0.2920
O 0.8710 0.9595 0.1317
O 0.9732 0.2319 0.2649
O 0.9895 0.4235 0.1048
O 0.9925 0.5017 0.5325
O 0.9960 0.1961 0.8515

Computed properties:
* distance to the lowest polymorph of the same formula: 14 meV/atom
* calculated formation energy: -2.641 eV per atom

***

VASP calculation (PBE with a Hubbard U) on a relaxed Li3MnVP3O12 crystal.

Cell: 8.4763 8.4763 8.6756 Å, 118.27 118.27 63.48°
Positions (direct):
Li 0.0649 0.3186 0.9068
Li 0.1906 0.1906 0.4071
Li 0.4359 0.0673 0.7490
Li 0.6814 0.9351 0.0932
Li 0.8094 0.8094 0.5929
Li 0.9327 0.5641 0.2510
Mn 0.5752 0.2058 0.5996
Mn 0.7942 0.4248 0.4004
V 0.0817 0.7007 0.1059
V 0.2993 0.9183 0.8941
P 0.1842 0.5128 0.7150
P 0.3873 0.3145 0.2138
P 0.4872 0.8158 0.2850
P 0.6855 0.6127 0.7862
P 0.8889 0.1111 0.0000
P 0.9938 0.0062 0.5000
O 0.0054 0.8200 0.3322
O 0.0181 0.5212 0.5246
O 0.0542 0.0827 0.9489
O 0.1178 0.5333 0.8626
O 0.1800 0.9946 0.6678
O 0.1933 0.4603 0.1711
O 0.2552 0.6749 0.7739
O 0.3244 0.3164 0.6750
O 0.3251 0.7448 0.2261
O 0.3911 0.1518 0.0246
O 0.3955 0.2533 0.3600
O 0.4667 0.8822 0.1374
O 0.4788 0.9819 0.4754
O 0.5397 0.8067 0.8289
O 0.5539 0.3838 0.2778
O 0.6162 0.4461 0.7222
O 0.6836 0.6756 0.3250
O 0.7035 0.1184 0.8310
O 0.7467 0.6045 0.6400
O 0.8300 0.0307 0.5496
O 0.8482 0.6089 0.9754
O 0.8816 0.2965 0.1690
O 0.9173 0.9458 0.0511
O 0.9693 0.1700 0.4504

Computed properties:
* distance to the lowest polymorph of the same formula: 50 meV/atom
* calculated formation energy: -2.605 eV per atom

***

Total energy / eV/atom: -7.04 -7.01 -7.05 -7.10 -7.04 -7.00